1.
LiFeO3 | PBE with a Hubbard U | relaxed

a b c (Å): 8.6974 8.6974 9.8954
angles (deg): 82.36 82.36 58.95
Closest atoms and distances in Å follow each position.
Positions (direct):
O (0.6740, 0.0536, 0.1437)  2 Fe 1.87-1.88, 1 Li 1.90
O (0.8818, 0.5101, 0.6404)  2 Fe 1.87-1.91
O (0.8195, 0.4510, 0.3556)  2 Fe 1.88-1.89, 1 Li 2.02
O (0.2194, 0.2194, 0.6379)  2 Fe 1.88, 1 Li 2.02
O (0.1505, 0.7814, 0.3595)  2 Fe 1.89-1.91
O (0.7296, 0.7296, 0.1311)  2 Fe 1.91, 1 Li 2.05
O (0.1147, 0.4866, 0.3588)  2 Fe 1.90-1.92, 2 Li 2.01
O (0.3409, 0.7198, 0.1439)  2 Fe 1.85-1.88, 1 Li 1.91
O (0.5490, 0.1749, 0.6396)  2 Fe 1.89-1.92, 2 Li 2.03-2.04
O (0.1749, 0.5490, 0.6396)  2 Fe 1.89-1.92, 2 Li 2.03-2.04
O (0.2810, 0.6481, 0.8546)  2 Fe 1.88-1.91, 1 Li 2.03
O (0.8419, 0.2122, 0.6437)  2 Fe 1.86-1.89, 1 Li 2.07
O (0.6079, 0.6079, 0.8583)  2 Fe 1.91, 2 Li 1.95-1.96
O (0.2122, 0.8419, 0.6437)  2 Fe 1.86-1.89, 1 Li 2.07
O (0.2750, 0.2750, 0.8593)  2 Fe 1.91, 2 Li 1.94-1.96
O (0.9823, 0.6130, 0.8545)  2 Fe 1.89, 1 Li 2.02
O (0.3851, 0.0081, 0.1444)  2 Fe 1.85-1.90, 1 Li 1.91
O (0.9401, 0.9401, 0.8610)  2 Fe 1.90, 2 Li 1.95
O (0.4439, 0.4439, 0.3590)  2 Fe 1.88, 1 Li 1.98
O (0.7748, 0.7748, 0.3668)  2 Fe 1.94, 3 Li 2.06-2.16
O (0.6130, 0.9823, 0.8545)  2 Fe 1.89, 1 Li 2.02
O (0.4510, 0.8195, 0.3556)  2 Fe 1.88-1.89, 1 Li 2.02
O (0.5101, 0.8818, 0.6404)  2 Fe 1.87-1.91
O (0.0536, 0.6740, 0.1437)  2 Fe 1.87-1.88, 1 Li 1.90
O (0.8885, 0.8885, 0.6309)  2 Fe 1.93, 3 Li 2.06-2.16
O (0.1117, 0.1117, 0.3605)  2 Fe 1.91, 2 Li 1.96-2.00
O (0.5517, 0.5517, 0.6370)  2 Fe 1.91, 2 Li 1.97-2.00
O (0.0616, 0.0616, 0.1341)  2 Fe 1.92, 1 Li 2.05
O (0.3952, 0.3952, 0.1325)  2 Fe 1.91, 1 Li 2.02
O (0.4866, 0.1147, 0.3588)  2 Fe 1.90-1.92, 2 Li 2.01
O (0.7814, 0.1505, 0.3595)  2 Fe 1.89-1.91
O (0.6481, 0.2810, 0.8546)  2 Fe 1.88-1.91, 1 Li 2.03
O (0.3152, 0.9473, 0.8547)  2 Fe 1.88-1.89, 1 Li 2.03
O (0.0081, 0.3851, 0.1444)  2 Fe 1.85-1.90, 1 Li 1.91
O (0.7198, 0.3409, 0.1439)  2 Fe 1.85-1.88, 1 Li 1.91
O (0.9473, 0.3152, 0.8547)  2 Fe 1.88-1.89, 1 Li 2.03
Fe (0.9115, 0.2521, 0.2517)  6 O 1.85-1.92
Fe (0.2521, 0.9115, 0.2517)  6 O 1.85-1.92
Fe (0.4102, 0.7504, 0.7468)  6 O 1.86-1.91
Fe (0.5803, 0.9186, 0.2482)  6 O 1.85-1.94
Fe (0.9186, 0.5803, 0.2482)  6 O 1.85-1.94
Fe (0.2485, 0.5852, 0.2498)  6 O 1.87-1.92
Fe (0.7437, 0.0816, 0.7498)  6 O 1.88-1.93
Fe (0.0778, 0.4135, 0.7475)  6 O 1.87-1.92
Fe (0.5852, 0.2485, 0.2498)  6 O 1.87-1.92
Fe (0.0816, 0.7437, 0.7498)  6 O 1.88-1.93
Fe (0.7504, 0.4102, 0.7468)  6 O 1.86-1.91
Fe (0.4135, 0.0778, 0.7475)  6 O 1.87-1.92
Li (0.5363, 0.5363, 0.0410)  3 O 1.91-1.96
Li (0.6485, 0.6485, 0.4791)  4 O 1.97-2.06
Li (0.4365, 0.4365, 0.5605)  4 O 1.98-2.04
Li (0.2278, 0.2278, 0.4326)  4 O 2.00-2.02
Li (0.8687, 0.8687, 0.0423)  3 O 1.90-1.95
Li (0.2012, 0.2012, 0.0398)  3 O 1.91-1.96
Li (0.6755, 0.9948, 0.4946)  5 O 2.01-2.22
Li (0.0135, 0.0135, 0.5140)  4 O 1.96-2.07
Li (0.9948, 0.6755, 0.4946)  5 O 2.01-2.22
Li (0.3874, 0.3874, 0.9307)  4 O 1.94-2.03
Li (0.0540, 0.0540, 0.9292)  4 O 1.95-2.05
Li (0.7220, 0.7220, 0.9265)  4 O 1.95-2.05

Formation energy from the elements ... -1.4336 eV per atom
Mass density ... 3.5 g/cm³

***

2.
Zn3Co3As4O16 | PBE with a Hubbard U | relaxed

a b c (Å): 5.2123 8.5958 15.9421
angles (deg): 69.11 90.00 90.00
Closest atoms and distances in Å follow each position.
Positions (direct):
O (0.2793, 0.5728, 0.4053)  1 As 1.79
O (0.2851, 0.4906, 0.1050)  1 As 1.73
O (0.8191, 0.9859, 0.1303)  1 As 1.73
O (0.4278, 0.2469, 0.4915)  1 As 1.72
O (0.7793, 0.4272, 0.0947)  1 As 1.79
O (0.4099, 0.8111, 0.2500)  1 As 1.75
O (0.7149, 0.5094, 0.8950)  1 As 1.73
O (0.5901, 0.1889, 0.7500)  1 As 1.75
O (0.3237, 0.9072, 0.0712)  1 As 1.69
O (0.0987, 0.3934, 0.7992)  1 As 1.69
O (0.1763, 0.9072, 0.5712)  1 As 1.69
O (0.7207, 0.4272, 0.5947)  1 As 1.79
O (0.6763, 0.0928, 0.9288)  1 As 1.69
O (0.3868, 0.1541, 0.1528)  1 As 1.76
O (0.5722, 0.7531, 0.5085)  1 As 1.72
O (0.0722, 0.2469, 0.9915)  1 As 1.72
O (0.7851, 0.5094, 0.3950)  1 As 1.73
O (0.9013, 0.6066, 0.2008)  1 As 1.69
O (0.6132, 0.8459, 0.8472)  1 As 1.76
O (0.8868, 0.8459, 0.3472)  1 As 1.76
O (0.3191, 0.0141, 0.3697)  1 As 1.73
O (0.0901, 0.8111, 0.7500)  1 As 1.75
O (0.5987, 0.6066, 0.7008)  1 As 1.69
O (0.4013, 0.3934, 0.2992)  1 As 1.69
O (0.9278, 0.7531, 0.0085)  1 As 1.72
O (0.9099, 0.1889, 0.2500)  1 As 1.75
O (0.8237, 0.0928, 0.4288)  1 As 1.69
O (0.1809, 0.0141, 0.8697)  1 As 1.73
O (0.6809, 0.9859, 0.6303)  1 As 1.73
O (0.2149, 0.4906, 0.6050)  1 As 1.73
O (0.2207, 0.5728, 0.9053)  1 As 1.79
O (0.1132, 0.1541, 0.6528)  1 As 1.76
Co (0.9914, 0.7920, 0.8744)  5 O 2.00-2.13
Co (0.0000, 0.5000, 0.5000)  4 O 1.99-2.03
Co (0.5000, 0.5000, 0.0000)  4 O 1.99-2.03
Co (0.4914, 0.2080, 0.6256)  5 O 2.00-2.13
Co (0.5086, 0.7920, 0.3744)  5 O 2.00-2.13
Co (0.0086, 0.2080, 0.1256)  5 O 2.00-2.13
As (0.4913, 0.4157, 0.3960)  4 O 1.69-1.79
As (0.9913, 0.5843, 0.1040)  4 O 1.69-1.79
As (0.5097, 0.0365, 0.8534)  4 O 1.69-1.76
As (0.4903, 0.9635, 0.1466)  4 O 1.69-1.76
As (0.0087, 0.4157, 0.8960)  4 O 1.69-1.79
As (0.9903, 0.0365, 0.3534)  4 O 1.69-1.76
As (0.5087, 0.5843, 0.6040)  4 O 1.69-1.79
As (0.0097, 0.9635, 0.6466)  4 O 1.69-1.76
Zn (0.0513, 0.7008, 0.2824)  3 O 1.93-2.08
Zn (0.4487, 0.7008, 0.7824)  3 O 1.93-2.08
Zn (0.5513, 0.2992, 0.2176)  3 O 1.93-2.08
Zn (0.9487, 0.2992, 0.7176)  3 O 1.93-2.08
Zn (0.0000, 0.0000, 0.0000)  6 O 2.03-2.24
Zn (0.5000, 0.0000, 0.5000)  6 O 2.03-2.24

Formation energy from the elements ... -1.6296 eV per atom
Mass density ... 4.6 g/cm³

***

3.
MnNiP2O9 | PBE with a Hubbard U | relaxed

a b c (Å): 6.2326 7.7440 13.8697
angles (deg): 90.05 89.81 90.10
Closest atoms and distances in Å follow each position.
Positions (direct):
O (0.4467, 0.1341, 0.3706)  1 P 1.54
O (0.4463, 0.3651, 0.8707)  1 P 1.54
O (0.7510, 0.8362, 0.0186)  1 P 1.56
O (0.0450, 0.9002, 0.8705)  1 P 1.53
O (0.5459, 0.3985, 0.6303)  1 P 1.53
O (0.5533, 0.8664, 0.6290)  1 P 1.54
O (0.2498, 0.4874, 0.0160)  1 P 1.52
O (0.4535, 0.8998, 0.8701)  1 P 1.53
O (0.0538, 0.3658, 0.8706)  1 P 1.54
O (0.2480, 0.7275, 0.7424)  1 P 1.58
O (0.5464, 0.1008, 0.1303)  1 P 1.53
O (0.7501, 0.6635, 0.5187)  1 P 1.56
O (0.7502, 0.5131, 0.9838)  1 P 1.52
O (0.7501, 0.9663, 0.2728)  1 P 1.57
O (0.9552, 0.0992, 0.1301)  1 P 1.53
O (0.0544, 0.1337, 0.3708)  1 P 1.54
O (0.7489, 0.1486, 0.9526)  1 Mn 1.87, 2 Ni 2.04-2.05
O (0.2487, 0.1642, 0.9814)  1 P 1.56
O (0.5537, 0.6351, 0.1292)  1 P 1.54
O (0.2499, 0.6492, 0.5483)  1 Mn 1.87, 2 Ni 2.05
O (0.2499, 0.7741, 0.2422)  1 P 1.58
O (0.7501, 0.2259, 0.7580)  1 P 1.58
O (0.7499, 0.9858, 0.4832)  1 P 1.52
O (0.2501, 0.0127, 0.5158)  1 P 1.52
O (0.9463, 0.6345, 0.1292)  1 P 1.54
O (0.9541, 0.3985, 0.6300)  1 P 1.53
O (0.2503, 0.4677, 0.2270)  1 P 1.57
O (0.0460, 0.6011, 0.3702)  1 P 1.53
O (0.7498, 0.5321, 0.7730)  1 P 1.57
O (0.2499, 0.3360, 0.4812)  1 P 1.56
O (0.7521, 0.2725, 0.2579)  1 P 1.58
O (0.2509, 0.8518, 0.0477)  1 Mn 1.87, 2 Ni 2.04-2.05
O (0.7501, 0.3505, 0.4517)  1 Mn 1.87, 2 Ni 2.05
O (0.9455, 0.8669, 0.6289)  1 P 1.54
O (0.2498, 0.0337, 0.7275)  1 P 1.57
O (0.4542, 0.6012, 0.3698)  1 P 1.53
Ni (0.4998, 0.0002, 0.0002)  6 O 1.99-2.04
Ni (0.9999, 0.0002, 0.0001)  6 O 1.98-2.05
Ni (0.5002, 0.4997, 0.5000)  6 O 1.99-2.05
Ni (0.9999, 0.4997, 0.5000)  6 O 1.99-2.05
P (0.7504, 0.1072, 0.1915)  4 O 1.53-1.58
P (0.7498, 0.8494, 0.5617)  4 O 1.52-1.56
P (0.7507, 0.6506, 0.0619)  4 O 1.52-1.56
P (0.2496, 0.8927, 0.8088)  4 O 1.53-1.58
P (0.2504, 0.6089, 0.3085)  4 O 1.53-1.58
P (0.2493, 0.3498, 0.9380)  4 O 1.52-1.56
P (0.7498, 0.3910, 0.6916)  4 O 1.53-1.58
P (0.2502, 0.1503, 0.4380)  4 O 1.52-1.56
Mn (0.2503, 0.6477, 0.1198)  6 O 1.87-2.04
Mn (0.7505, 0.1463, 0.3799)  6 O 1.87-2.04
Mn (0.2495, 0.8539, 0.6202)  6 O 1.87-2.04
Mn (0.7497, 0.3525, 0.8801)  6 O 1.87-2.04

Formation energy from the elements ... -1.9393 eV per atom
Mass density ... 3.2 g/cm³

***

4.
LiMo2AsO9 | PBE with a Hubbard U | relaxed

a b c (Å): 5.5437 7.7293 9.1057
angles (deg): 90.00 90.00 90.00
Closest atoms and distances in Å follow each position.
Positions (direct):
O (0.0000, 0.1886, 0.9414)  1 As 1.72
O (0.7420, 0.0000, 0.1451)  1 As 1.71
O (0.0000, 0.5000, 0.6193)  2 Mo 1.96, 1 Li 2.05
O (0.7444, 0.3178, 0.3334)  1 Mo 1.73
O (0.2420, 0.5000, 0.8549)  1 As 1.71
O (0.7556, 0.1822, 0.6666)  1 Mo 1.73
O (0.2444, 0.1822, 0.6666)  1 Mo 1.73
O (0.5000, 0.3114, 0.0586)  1 As 1.72
O (0.0000, 0.8114, 0.9414)  1 As 1.72
O (0.2556, 0.6822, 0.3334)  1 Mo 1.73
O (0.7580, 0.5000, 0.8549)  1 As 1.71
O (0.2556, 0.3178, 0.3334)  1 Mo 1.73
O (0.5000, 0.0000, 0.3807)  2 Mo 1.96, 1 Li 2.05
O (0.5000, 0.6886, 0.0586)  1 As 1.72
O (0.2444, 0.8178, 0.6666)  1 Mo 1.73
O (0.7556, 0.8178, 0.6666)  1 Mo 1.73
O (0.7444, 0.6822, 0.3334)  1 Mo 1.73
O (0.2580, 0.0000, 0.1451)  1 As 1.71
Mo (0.5000, 0.2097, 0.2592)  2 O 1.73
Mo (0.0000, 0.2903, 0.7408)  2 O 1.73
Mo (0.0000, 0.7097, 0.7408)  2 O 1.73
Mo (0.5000, 0.7903, 0.2592)  2 O 1.73
Li (0.5000, 0.0000, 0.6062)  5 O 2.05-2.07
Li (0.0000, 0.5000, 0.3938)  5 O 2.05-2.07
As (0.0000, 0.0000, 0.0425)  4 O 1.71-1.72
As (0.5000, 0.5000, 0.9575)  4 O 1.71-1.72

Formation energy from the elements ... -1.9334 eV per atom
Mass density ... 3.6 g/cm³

***

5.
Li9Mn2Co5O16 | PBE with a Hubbard U | relaxed

a b c (Å): 2.8938 8.4066 11.8551
angles (deg): 89.55 90.00 90.00
Closest atoms and distances in Å follow each position.
Positions (direct):
Li (0.0000, 0.9846, 0.2417)  4 O 2.05-2.19
Li (0.0000, 0.4991, 0.4983)  6 O 2.10-2.27
Li (0.0000, 0.0004, 0.7547)  6 O 2.11-2.23
Li (0.0000, 0.5136, 0.0060)  5 O 2.10-2.18
Li (0.5000, 0.7453, 0.8861)  4 O 1.97-2.16
Li (0.5000, 0.7475, 0.1215)  6 O 2.07-2.14
Li (0.5000, 0.2552, 0.1248)  6 O 2.04-2.16
Li (0.5000, 0.2572, 0.6279)  6 O 2.05-2.18
Li (0.5000, 0.7432, 0.3670)  4 O 1.97-2.16
O (0.0000, 0.2323, 0.4915)  1 Mn 1.93, 2 Co 2.07
O (0.0000, 0.2445, 0.2575)  2 Co 1.95, 2 Li 2.14
O (0.5000, 0.9969, 0.3925)  2 Mn 1.94, 1 Li 2.16
O (0.0000, 0.7407, 0.2543)  1 Co 1.81, 2 Li 1.97
O (0.5000, 0.0064, 0.6119)  2 Mn 1.95, 1 Li 2.12
O (0.5000, 0.4944, 0.8695)  3 Co 2.03, 3 Li 2.12-2.18
O (0.5000, 0.4973, 0.1341)  2 Co 1.97, 4 Li 2.04-2.11
O (0.0000, 0.2331, 0.9901)  2 Co 1.98, 1 Mn 2.06, 2 Li 2.16
O (0.5000, 0.0012, 0.1089)  2 Mn 1.93, 4 Li 2.14-2.15
O (0.0000, 0.7681, 0.5167)  2 Co 1.96, 1 Mn 1.98
O (0.0000, 0.7715, 0.9977)  1 Mn 1.83, 2 Li 1.97
O (0.5000, 0.4915, 0.3705)  3 Co 1.96-2.10, 3 Li 2.10-2.12
O (0.5000, 0.0019, 0.8859)  2 Mn 1.99, 1 Co 2.12, 3 Li 2.12-2.16
O (0.0000, 0.7466, 0.7356)  3 Co 1.94-2.10, 1 Li 2.15
O (0.0000, 0.2511, 0.7586)  3 Co 2.01-2.08, 3 Li 2.11-2.12
O (0.5000, 0.5012, 0.6288)  3 Co 2.03-2.06, 3 Li 2.05-2.12
Mn (0.0000, 0.9888, 0.0010)  5 O 1.83-1.99
Mn (0.0000, 0.0031, 0.5017)  6 O 1.93-1.98
Co (0.5000, 0.2535, 0.8766)  6 O 1.98-2.12
Co (0.0000, 0.5261, 0.2447)  3 O 1.81-1.97
Co (0.5000, 0.2585, 0.3676)  5 O 1.95-2.07
Co (0.0000, 0.4980, 0.7492)  6 O 2.03-2.10
Co (0.5000, 0.7467, 0.6271)  5 O 1.94-2.06

Formation energy from the elements ... -1.7914 eV per atom
Mass density ... 4.2 g/cm³